Record 1
An optimized crystal structure of Eu3Ta. Source: Materials Project, functional PBE.

## Properties
Energy above the most stable polymorph in this dataset (meV per atom): 0
VASP energy (eV/atom): -10.01
Formation enthalpy at 0 K (kJ per mole of atoms): 63

Lattice parameters (Å, degrees): 5.0107 5.0107 9.5870 90.00 90.00 90.00
Space group I4/mmm (No. 139)
One atom of each set of equivalent atoms:
Eu: 0.0000 0.0000 0.0000 [2 per cell]
Eu: 0.0000 0.5000 0.2500 [4 per cell]
Ta: 0.0000 0.0000 0.5000 [2 per cell]

---

Record 2
An optimized crystal structure of Eu3Ta. Source: Materials Project, functional PBE.

## Properties
Energy above the most stable polymorph in this dataset (meV per atom): 46
VASP energy (eV/atom): -9.96
Formation enthalpy at 0 K (kJ per mole of atoms): 67

Lattice parameters (Å, degrees): 8.1032 8.1032 8.1032 90.00 90.00 90.00
Space group Fm-3m (No. 225)
One atom of each set of equivalent atoms:
Eu: 0.0000 0.0000 0.0000 [4 per cell]
Eu: 0.2500 0.2500 0.2500 [8 per cell]
Ta: 0.0000 0.0000 0.5000 [4 per cell]

---

Record 3
An optimized crystal structure of Tb3Eu. Source: Materials Project, functional PBE.

## Properties
Energy above the most stable polymorph in this dataset (meV per atom): 6
VASP energy (eV/atom): -5.95
Formation enthalpy at 0 K (kJ per mole of atoms): 8

Lattice parameters (Å, degrees): 5.0716 5.0716 5.0716 90.00 90.00 90.00
Space group Pm-3m (No. 221)
One atom of each set of equivalent atoms:
Tb: 0.0000 0.0000 0.5000 [3 per cell]
Eu: 0.5000 0.5000 0.5000 [1 per cell]

---

Record 4
An optimized crystal structure of TbEu3. Source: Materials Project, functional PBE.

## Properties
VASP energy (eV/atom): -8.78
Formation enthalpy at 0 K (kJ per mole of atoms): 7

Lattice parameters (Å, degrees): 7.6691 7.6691 6.2097 90.00 90.00 120.00
Space group P6_3/mmc (No. 194)
One atom of each set of equivalent atoms:
Tb: 0.3333 0.6667 0.2500 [2 per cell]
Eu: 0.1698 0.3395 0.7500 [6 per cell]

---

Record 5
An optimized crystal structure of Tb3Eu. Source: Materials Project, functional PBE.

## Properties
Energy above the most stable polymorph in this dataset (meV per atom): 0
VASP energy (eV/atom): -5.96
Formation enthalpy at 0 K (kJ per mole of atoms): 8

Lattice parameters (Å, degrees): 5.0980 5.0980 10.2288 90.00 90.00 90.00
Space group I4/mmm (No. 139)
One atom of each set of equivalent atoms:
Tb: 0.0000 0.0000 0.0000 [2 per cell]
Tb: 0.0000 0.5000 0.2500 [4 per cell]
Eu: 0.0000 0.0000 0.5000 [2 per cell]

---

Record 6
An optimized crystal structure of EuTe. Source: Materials Project, functional PBE.

## Properties
VASP energy (eV/atom): -8.15
Formation enthalpy at 0 K (kJ per mole of atoms): -160

Lattice parameters (Å, degrees): 4.0400 4.0400 4.0400 90.00 90.00 90.00
Space group Pm-3m (No. 221)
One atom of each set of equivalent atoms:
Eu: 0.0000 0.0000 0.0000 [1 per cell]
Te: 0.5000 0.5000 0.5000 [1 per cell]

---

Record 7
An optimized crystal structure of Eu3Te. Source: Materials Project, functional PBE.

## Properties
VASP energy (eV/atom): -9.08
Formation enthalpy at 0 K (kJ per mole of atoms): -69

Lattice parameters (Å, degrees): 5.1559 5.1559 5.1559 90.00 90.00 90.00
Space group Pm-3m (No. 221)
One atom of each set of equivalent atoms:
Eu: 0.0000 0.0000 0.5000 [3 per cell]
Te: 0.5000 0.5000 0.5000 [1 per cell]

---

Record 8
An optimized crystal structure of EuTe. Source: Materials Project, functional PBE.

## Properties
VASP energy (eV/atom): -8.40
Formation enthalpy at 0 K (kJ per mole of atoms): -184

Lattice parameters (Å, degrees): 6.5440 6.5440 6.5440 90.00 90.00 90.00
Space group Fm-3m (No. 225)
One atom of each set of equivalent atoms:
Eu: 0.0000 0.0000 0.0000 [4 per cell]
Te: 0.0000 0.0000 0.5000 [4 per cell]

---

Record 9
An optimized crystal structure of EuTl2. Source: Materials Project, functional PBE.

## Properties
VASP energy (eV/atom): -5.32
Formation enthalpy at 0 K (kJ per mole of atoms): -32

Lattice parameters (Å, degrees): 5.1780 5.1780 8.0929 90.00 90.00 120.00
Space group P6_3/mmc (No. 194)
One atom of each set of equivalent atoms:
Eu: 0.0000 0.0000 0.2500 [2 per cell]
Tl: 0.3333 0.6667 0.0466 [4 per cell]

---

Record 10
An optimized crystal structure of Eu3Tl. Source: Materials Project, functional PBE.

## Properties
VASP energy (eV/atom): -8.50
Formation enthalpy at 0 K (kJ per mole of atoms): -21

Lattice parameters (Å, degrees): 7.4049 7.4049 5.7678 90.00 90.00 120.00
Space group P6_3/mmc (No. 194)
One atom of each set of equivalent atoms:
Eu: 0.1754 0.3509 0.2500 [6 per cell]
Tl: 0.3333 0.6667 0.7500 [2 per cell]

---

Record 11
An optimized crystal structure of EuTl3. Source: Materials Project, functional PBE.

## Properties
VASP energy (eV/atom): -4.62
Formation enthalpy at 0 K (kJ per mole of atoms): -27

Lattice parameters (Å, degrees): 4.9487 4.9487 4.9487 90.00 90.00 90.00
Space group Pm-3m (No. 221)
One atom of each set of equivalent atoms:
Eu: 0.0000 0.0000 0.0000 [1 per cell]
Tl: 0.0000 0.5000 0.5000 [3 per cell]

---

Record 12
An optimized crystal structure of EuTl3. Source: Materials Project, functional PBE.

## Properties
VASP energy (eV/atom): -4.60
Formation enthalpy at 0 K (kJ per mole of atoms): -26

Lattice parameters (Å, degrees): 7.2581 7.2581 5.4303 90.00 90.00 120.00
Space group P6_3/mmc (No. 194)
One atom of each set of equivalent atoms:
Eu: 0.3333 0.6667 0.2500 [2 per cell]
Tl: 0.1641 0.3281 0.7500 [6 per cell]

---

Record 13
An optimized crystal structure of Eu3V. Source: Materials Project, functional PBE.

## Properties
Energy above the most stable polymorph in this dataset (meV per atom): 0
VASP energy (eV/atom): -9.49
Formation enthalpy at 0 K (kJ per mole of atoms): 46

Lattice parameters (Å, degrees): 8.1231 8.1231 8.1231 90.00 90.00 90.00
Space group Fm-3m (No. 225)
One atom of each set of equivalent atoms:
Eu: 0.0000 0.0000 0.0000 [4 per cell]
Eu: 0.2500 0.2500 0.2500 [8 per cell]
V: 0.0000 0.0000 0.5000 [4 per cell]

---

Record 14
An optimized crystal structure of Eu3V. Source: Materials Project, functional PBE.

## Properties
Energy above the most stable polymorph in this dataset (meV per atom): 18
VASP energy (eV/atom): -9.47
Formation enthalpy at 0 K (kJ per mole of atoms): 47

Lattice parameters (Å, degrees): 5.2447 5.2447 9.7143 90.00 90.00 90.00
Space group I4/mmm (No. 139)
One atom of each set of equivalent atoms:
Eu: 0.0000 0.0000 0.0000 [2 per cell]
Eu: 0.0000 0.5000 0.2500 [4 per cell]
V: 0.0000 0.0000 0.5000 [2 per cell]

---

Record 15
An optimized crystal structure of Eu3W. Source: Materials Project, functional PBE.

## Properties
Energy above the most stable polymorph in this dataset (meV per atom): 0
VASP energy (eV/atom): -10.18
Formation enthalpy at 0 K (kJ per mole of atoms): 72

Lattice parameters (Å, degrees): 5.0423 5.0423 9.1283 90.00 90.00 90.00
Space group I4/mmm (No. 139)
One atom of each set of equivalent atoms:
Eu: 0.0000 0.0000 0.0000 [2 per cell]
Eu: 0.0000 0.5000 0.2500 [4 per cell]
W: 0.0000 0.0000 0.5000 [2 per cell]

---

Record 16
An optimized crystal structure of Eu3W. Source: Materials Project, functional PBE.

## Properties
Energy above the most stable polymorph in this dataset (meV per atom): 35
VASP energy (eV/atom): -10.15
Formation enthalpy at 0 K (kJ per mole of atoms): 76

Lattice parameters (Å, degrees): 7.4516 7.4516 5.6147 90.00 90.00 120.00
Space group P6_3/mmc (No. 194)
One atom of each set of equivalent atoms:
Eu: 0.1793 0.3587 0.2500 [6 per cell]
W: 0.3333 0.6667 0.7500 [2 per cell]

---

Record 17
An optimized crystal structure of Eu3Y. Source: Materials Project, functional PBE.

## Properties
VASP energy (eV/atom): -9.24
Formation enthalpy at 0 K (kJ per mole of atoms): 7

Lattice parameters (Å, degrees): 7.7311 7.7311 6.2554 90.00 90.00 120.00
Space group P6_3/mmc (No. 194)
One atom of each set of equivalent atoms:
Eu: 0.1696 0.3391 0.2500 [6 per cell]
Y: 0.3333 0.6667 0.7500 [2 per cell]

---

Record 18
An optimized crystal structure of EuZn5. Source: Materials Project, functional PBE.

## Properties
VASP energy (eV/atom): -3.02
Formation enthalpy at 0 K (kJ per mole of atoms): -25

Lattice parameters (Å, degrees): 5.4504 5.4504 4.2765 90.00 90.00 120.00
Space group P6/mmm (No. 191)
One atom of each set of equivalent atoms:
Eu: 0.0000 0.0000 0.0000 [1 per cell]
Zn: 0.0000 0.5000 0.5000 [3 per cell]
Zn: 0.3333 0.6667 0.0000 [2 per cell]

---

Record 19
An optimized crystal structure of EuZn2. Source: Materials Project, functional PBE.

## Properties
VASP energy (eV/atom): -4.57
Formation enthalpy at 0 K (kJ per mole of atoms): -30

Lattice parameters (Å, degrees): 4.6729 7.5172 7.6706 90.00 90.00 90.00
Space group Imma (No. 74)
One atom of each set of equivalent atoms:
Eu: 0.0000 0.2500 0.0489 [4 per cell]
Zn: 0.0000 0.0617 0.6643 [8 per cell]

---

Record 20
An optimized crystal structure of EuZn13. Source: Materials Project, functional PBE.

## Properties
VASP energy (eV/atom): -2.08
Formation enthalpy at 0 K (kJ per mole of atoms): -17

Lattice parameters (Å, degrees): 12.2118 12.2118 12.2118 90.00 90.00 90.00
Space group Fm-3c (No. 226)
One atom of each set of equivalent atoms:
Eu: 0.2500 0.2500 0.2500 [8 per cell]
Zn: 0.0000 0.0000 0.0000 [8 per cell]
Zn: 0.0000 0.1220 0.1781 [96 per cell]